DFT (PBE+U) results for a geometry-optimized MgMn6O8F4 structure.

```
data_MgMn6O8F4
_space_group_name_H-M_alt 'P 1'
_space_group_IT_number 1
_cell_length_a 5.161
_cell_length_b 5.232
_cell_length_c 8.959
_cell_angle_alpha 87.16
_cell_angle_beta 86.41
_cell_angle_gamma 76.56
loop_
_space_group_symop_operation_xyz
'x,y,z'
loop_
_atom_site_label
_atom_site_type_symbol
_atom_site_fract_x
_atom_site_fract_y
_atom_site_fract_z
Mg1 Mg 0.000 0.000 0.000
Mn1 Mn 0.000 0.498 0.500
Mn2 Mn 0.004 0.501 0.174
Mn3 Mn 0.489 0.995 0.671
Mn4 Mn 0.500 0.998 0.000
Mn5 Mn 0.513 0.003 0.330
Mn6 Mn 0.999 0.498 0.827
O1 O 0.181 0.298 0.003
O2 O 0.198 0.304 0.333
O3 O 0.216 0.325 0.664
O4 O 0.329 0.870 0.848
O5 O 0.672 0.128 0.153
O6 O 0.786 0.673 0.336
O7 O 0.804 0.695 0.667
O8 O 0.821 0.700 0.997
F1 F 0.251 0.815 0.155
F2 F 0.322 0.845 0.492
F3 F 0.681 0.155 0.509
F4 F 0.750 0.184 0.845
```

Polymorph energy (0 for the lowest one), meV per atom: 32
DFT total energy, eV per atom: -6.83
Energy of formation from the pure elements, eV/atom: -2.281
Energy with MP2020 corrections, eV/atom: -7.745

---

DFT (PBE+U) results for a geometry-optimized Ba3MgMn3O9 structure.

```
data_Ba3MgMn3O9
_space_group_name_H-M_alt 'C 1 m 1'
_space_group_IT_number 8
_cell_length_a 10.467
_cell_length_b 5.736
_cell_length_c 8.941
_cell_angle_alpha 90.00
_cell_angle_beta 122.41
_cell_angle_gamma 90.00
loop_
_space_group_symop_operation_xyz
'x,y,z'
'x,-y,z'
'x+1/2,y+1/2,z'
'x+1/2,-y+1/2,z'
loop_
_atom_site_label
_atom_site_type_symbol
_atom_site_fract_x
_atom_site_fract_y
_atom_site_fract_z
Ba1 Ba 0.000 0.000 0.000
Ba2 Ba 0.061 0.500 0.791
Ba3 Ba 0.350 0.500 0.330
Mg1 Mg 0.149 0.500 0.525
Mn1 Mn 0.226 0.000 0.477
Mn2 Mn 0.249 0.000 0.837
Mn3 Mn 0.435 0.000 0.188
O1 O 0.041 0.000 0.716
O2 O 0.093 0.266 0.322
O3 O 0.265 0.235 0.694
O4 O 0.277 0.223 0.032
O5 O 0.408 0.000 0.410
O6 O 0.478 0.000 0.007
```

Polymorph energy (0 for the lowest one), meV per atom: 0
DFT total energy, eV per atom: -6.72
Energy of formation from the pure elements, eV/atom: -2.454
Energy with MP2020 corrections, eV/atom: -7.415

---

Question: Which value of polymorph energy (0 for the lowest one) does entry 2 give?
Answer: 0 meV per atom